(1)
The following is a PBE calculation of a geometry-optimized K11Li4Ta15O45 structure, from Materials Project.

Energy of formation from the pure elements = -3033.0 meV/atom
Magnetization = 0.000 μB/f.u.

a b c (Å): 4.028 18.172 54.616
angles (deg): 90.00 90.00 90.00
Space group Amm2 (No. 38)
Inequivalent atoms, fractional coordinates:
K (0.000, 0.000, 0.000)
K (0.000, 0.000, 0.066)
K (0.000, 0.000, 0.152)
K (0.000, 0.000, 0.219)
K (0.000, 0.000, 0.333)
K (0.000, 0.000, 0.402)
K (0.000, 0.000, 0.551)
K (0.000, 0.000, 0.667)
K (0.000, 0.000, 0.735)
K (0.000, 0.000, 0.885)
K (0.000, 0.174, 0.109)
K (0.000, 0.174, 0.443)
K (0.000, 0.174, 0.776)
K (0.000, 0.248, 0.526)
K (0.000, 0.248, 0.859)
K (0.000, 0.250, 0.193)
Li (0.000, 0.000, 0.485)
Li (0.000, 0.000, 0.818)
Li (0.000, 0.125, 0.276)
Li (0.000, 0.125, 0.609)
Li (0.000, 0.125, 0.943)
Ta (0.500, 0.000, 0.109)
Ta (0.500, 0.000, 0.276)
Ta (0.500, 0.000, 0.444)
Ta (0.500, 0.000, 0.609)
Ta (0.500, 0.000, 0.777)
Ta (0.500, 0.000, 0.943)
Ta (0.500, 0.109, 0.504)
Ta (0.500, 0.109, 0.837)
Ta (0.500, 0.113, 0.171)
Ta (0.500, 0.113, 0.381)
Ta (0.500, 0.113, 0.714)
Ta (0.500, 0.114, 0.047)
Ta (0.500, 0.182, 0.906)
Ta (0.500, 0.183, 0.240)
Ta (0.500, 0.183, 0.573)
Ta (0.500, 0.183, 0.645)
Ta (0.500, 0.184, 0.312)
Ta (0.500, 0.184, 0.979)
O (0.000, 0.000, 0.109)
O (0.000, 0.000, 0.276)
O (0.000, 0.000, 0.447)
O (0.000, 0.000, 0.609)
O (0.000, 0.000, 0.781)
O (0.000, 0.000, 0.943)
O (0.000, 0.103, 0.504)
O (0.000, 0.103, 0.837)
O (0.000, 0.116, 0.379)
O (0.000, 0.116, 0.713)
O (0.000, 0.117, 0.046)
O (0.000, 0.117, 0.173)
O (0.000, 0.182, 0.575)
O (0.000, 0.182, 0.643)
O (0.000, 0.182, 0.908)
O (0.000, 0.183, 0.242)
O (0.000, 0.183, 0.310)
O (0.000, 0.183, 0.977)
O (0.500, 0.000, 0.038)
O (0.500, 0.000, 0.180)
O (0.500, 0.000, 0.372)
O (0.500, 0.000, 0.512)
O (0.500, 0.000, 0.706)
O (0.500, 0.000, 0.845)
O (0.500, 0.076, 0.750)
O (0.500, 0.077, 0.083)
O (0.500, 0.077, 0.136)
O (0.500, 0.077, 0.417)
O (0.500, 0.077, 0.469)
O (0.500, 0.077, 0.802)
O (0.500, 0.078, 0.251)
O (0.500, 0.078, 0.584)
O (0.500, 0.078, 0.634)
O (0.500, 0.078, 0.917)
O (0.500, 0.079, 0.301)
O (0.500, 0.079, 0.968)
O (0.500, 0.145, 0.538)
O (0.500, 0.145, 0.872)
O (0.500, 0.146, 0.013)
O (0.500, 0.146, 0.206)
O (0.500, 0.146, 0.346)
O (0.500, 0.146, 0.680)
O (0.500, 0.208, 0.609)
O (0.500, 0.209, 0.276)
O (0.500, 0.209, 0.942)
O (0.500, 0.213, 0.491)
O (0.500, 0.213, 0.824)
O (0.500, 0.214, 0.158)
O (0.500, 0.214, 0.394)
O (0.500, 0.214, 0.728)
O (0.500, 0.215, 0.061)

***

(2)
The following is a PBE calculation of a geometry-optimized K3Li3TeO6 structure, from Materials Project.

Energy of formation from the pure elements = -1957.0 meV/atom
Magnetization = 0.000 μB/f.u.

a b c (Å): 11.858 6.074 9.834
angles (deg): 90.00 90.00 90.00
Space group Pnma (No. 62)
Inequivalent atoms, fractional coordinates:
K (0.006, 0.250, 0.207)
K (0.028, 0.250, 0.872)
K (0.038, 0.750, 0.459)
Li (0.243, 0.506, 0.836)
Li (0.249, 0.250, 0.091)
Te (0.244, 0.250, 0.587)
O (0.147, 0.012, 0.661)
O (0.158, 0.514, 0.015)
O (0.164, 0.250, 0.409)
O (0.176, 0.750, 0.262)

***

(3)
The following is a PBE calculation of a geometry-optimized K3LiTi7O16 structure, from Materials Project.

Energy of formation from the pure elements = -3245.5 meV/atom
Magnetization = 0.000 μB/f.u.

a b c (Å): 7.107 7.141 8.207
angles (deg): 97.24 97.14 114.99
Space group P1 (No. 1)
Inequivalent atoms, fractional coordinates:
K (0.000, 0.000, 0.000)
K (0.278, 0.688, 0.975)
K (0.569, 0.391, 0.004)
Li (0.369, 0.280, 0.342)
Ti (0.062, 0.220, 0.595)
Ti (0.124, 0.518, 0.326)
Ti (0.311, 0.973, 0.594)
Ti (0.555, 0.714, 0.595)
Ti (0.607, 0.034, 0.326)
Ti (0.802, 0.467, 0.596)
Ti (0.872, 0.782, 0.350)
O (0.044, 0.708, 0.547)
O (0.129, 0.041, 0.413)
O (0.201, 0.391, 0.174)
O (0.230, 0.141, 0.742)
O (0.284, 0.461, 0.534)
O (0.384, 0.795, 0.402)
O (0.453, 0.085, 0.174)
O (0.465, 0.877, 0.736)
O (0.551, 0.195, 0.535)
O (0.646, 0.554, 0.414)
O (0.705, 0.857, 0.202)
O (0.709, 0.620, 0.743)
O (0.797, 0.955, 0.547)
O (0.883, 0.294, 0.396)
O (0.964, 0.632, 0.202)
O (0.970, 0.380, 0.735)

***

(4)
The following is a PBE calculation of a geometry-optimized K2Li4UO6 structure, from Materials Project.

Energy of formation from the pure elements = -2480.6 meV/atom
Magnetization = 0.003 μB/f.u.

a b c (Å): 6.1212 6.1212 5.6737
angles (deg): 90.00 90.00 120.00
Space group P-3m1 (No. 164)
Inequivalent atoms, fractional coordinates:
K (0.3333, 0.6667, 0.0302)
Li (0.0000, 0.0000, 0.0000)
Li (0.0000, 0.5000, 0.5000)
U (0.0000, 0.0000, 0.5000)
O (0.1635, 0.3271, 0.7051)

***

(5)
The following is a PBE calculation of a geometry-optimized K3LiPb4 structure, from Materials Project.

Energy of formation from the pure elements = -240.3 meV/atom

a b c (Å): 7.327 16.353 10.358
angles (deg): 90.00 90.00 90.00
Space group Cmcm (No. 63)
Inequivalent atoms, fractional coordinates:
K (0.000, 0.110, 0.048)
K (0.000, 0.269, 0.750)
Li (0.000, 0.500, 0.000)
Pb (0.000, 0.325, 0.100)
Pb (0.216, 0.461, 0.250)

***

(6)
The following is a PBE calculation of a geometry-optimized K2LiS2 structure, from Materials Project.

Energy of formation from the pure elements = -150.6 meV/atom
Magnetization = 1.769 μB/f.u.

a b c (Å): 4.223 4.223 14.876
angles (deg): 90.00 90.00 90.00
Space group P4/mmm (No. 123)
Inequivalent atoms, fractional coordinates:
K (0.000, 0.000, 0.157)
Li (0.000, 0.000, 0.500)
S (0.000, 0.000, 0.346)